# 1
A plane-wave DFT calculation with PBE with a Hubbard U was carried out for crystalline Sr6Ca2Mn5Fe3O20 at its relaxed geometry.

Cell and atoms, written as CIF:
```
data_Sr6Ca2Mn5Fe3O20
_chemical_formula_sum 'Sr24 Ca8 Mn20 Fe12 O80'
_cell_length_a 11.108
_cell_length_b 11.189
_cell_length_c 17.799
_cell_angle_alpha 108.26
_cell_angle_beta 108.04
_cell_angle_gamma 90.01
_symmetry_space_group_name_H-M 'P 1'
_symmetry_Int_Tables_number 1
_symmetry_space_group_name_Hall 'P 1'
loop_
_atom_site_label
_atom_site_type_symbol
_atom_site_fract_x
_atom_site_fract_y
_atom_site_fract_z
Sr1 Sr 0.000 0.000 0.000
Sr2 Sr 0.000 0.003 0.505
Sr3 Sr 0.000 0.502 0.001
Sr4 Sr 0.000 0.502 0.505
Sr5 Sr 0.140 0.144 0.783
Sr6 Sr 0.141 0.142 0.284
Sr7 Sr 0.141 0.642 0.284
Sr8 Sr 0.248 0.243 0.001
Sr9 Sr 0.251 0.745 0.505
Sr10 Sr 0.252 0.246 0.505
Sr11 Sr 0.390 0.384 0.283
Sr12 Sr 0.392 0.885 0.283
Sr13 Sr 0.498 0.001 0.000
Sr14 Sr 0.501 0.502 0.503
Sr15 Sr 0.502 0.002 0.504
Sr16 Sr 0.639 0.644 0.784
Sr17 Sr 0.640 0.642 0.282
Sr18 Sr 0.642 0.141 0.283
Sr19 Sr 0.749 0.741 0.999
Sr20 Sr 0.750 0.243 0.000
Sr21 Sr 0.752 0.747 0.506
Sr22 Sr 0.754 0.246 0.507
Sr23 Sr 0.890 0.384 0.283
Sr24 Sr 0.890 0.885 0.283
Ca1 Ca 0.146 0.651 0.790
Ca2 Ca 0.248 0.735 0.995
Ca3 Ca 0.391 0.880 0.788
Ca4 Ca 0.392 0.382 0.789
Ca5 Ca 0.497 0.504 0.995
Ca6 Ca 0.644 0.150 0.788
Ca7 Ca 0.892 0.881 0.789
Ca8 Ca 0.893 0.382 0.790
Mn1 Mn 0.054 0.346 0.142
Mn2 Mn 0.055 0.354 0.651
Mn3 Mn 0.055 0.844 0.647
Mn4 Mn 0.056 0.844 0.142
Mn5 Mn 0.301 0.542 0.648
Mn6 Mn 0.303 0.036 0.140
Mn7 Mn 0.307 0.545 0.141
Mn8 Mn 0.308 0.040 0.646
Mn9 Mn 0.446 0.192 0.890
Mn10 Mn 0.547 0.838 0.137
Mn11 Mn 0.550 0.349 0.138
Mn12 Mn 0.553 0.345 0.646
Mn13 Mn 0.553 0.852 0.647
Mn14 Mn 0.696 0.443 0.393
Mn15 Mn 0.696 0.943 0.394
Mn16 Mn 0.799 0.539 0.140
Mn17 Mn 0.800 0.037 0.139
Mn18 Mn 0.803 0.042 0.650
Mn19 Mn 0.807 0.542 0.648
Mn20 Mn 0.945 0.194 0.394
Fe1 Fe 0.195 0.443 0.394
Fe2 Fe 0.195 0.941 0.890
Fe3 Fe 0.197 0.443 0.891
Fe4 Fe 0.197 0.944 0.395
Fe5 Fe 0.445 0.691 0.891
Fe6 Fe 0.446 0.694 0.393
Fe7 Fe 0.447 0.193 0.394
Fe8 Fe 0.694 0.942 0.888
Fe9 Fe 0.695 0.441 0.890
Fe10 Fe 0.944 0.191 0.889
Fe11 Fe 0.944 0.693 0.394
Fe12 Fe 0.946 0.691 0.889
O1 O 0.010 0.748 0.530
O2 O 0.015 0.244 0.027
O3 O 0.017 0.256 0.537
O4 O 0.022 0.744 0.028
O5 O 0.063 0.058 0.882
O6 O 0.067 0.068 0.391
O7 O 0.067 0.562 0.881
O8 O 0.067 0.565 0.390
O9 O 0.071 0.319 0.398
O10 O 0.071 0.822 0.398
O11 O 0.074 0.323 0.899
O12 O 0.078 0.819 0.899
O13 O 0.130 0.862 0.257
O14 O 0.131 0.362 0.258
O15 O 0.131 0.521 0.653
O16 O 0.132 0.003 0.645
O17 O 0.133 0.009 0.142
O18 O 0.134 0.507 0.141
O19 O 0.141 0.851 0.759
O20 O 0.144 0.357 0.761
O21 O 0.265 0.520 0.532
O22 O 0.267 0.030 0.028
O23 O 0.270 0.023 0.529
O24 O 0.271 0.534 0.026
O25 O 0.316 0.564 0.883
O26 O 0.318 0.067 0.388
O27 O 0.319 0.063 0.883
O28 O 0.319 0.567 0.390
O29 O 0.322 0.818 0.901
O30 O 0.322 0.819 0.398
O31 O 0.323 0.319 0.398
O32 O 0.330 0.323 0.901
O33 O 0.371 0.865 0.132
O34 O 0.380 0.378 0.141
O35 O 0.382 0.652 0.758
O36 O 0.382 0.875 0.653
O37 O 0.383 0.639 0.258
O38 O 0.384 0.381 0.654
O39 O 0.385 0.133 0.256
O40 O 0.385 0.155 0.760
O41 O 0.514 0.250 0.530
O42 O 0.517 0.239 0.025
O43 O 0.517 0.734 0.024
O44 O 0.517 0.753 0.531
O45 O 0.562 0.063 0.879
O46 O 0.562 0.557 0.883
O47 O 0.569 0.564 0.390
O48 O 0.570 0.321 0.898
O49 O 0.570 0.823 0.896
O50 O 0.571 0.066 0.391
O51 O 0.573 0.822 0.398
O52 O 0.574 0.321 0.397
O53 O 0.620 0.512 0.133
O54 O 0.623 0.859 0.251
O55 O 0.629 0.020 0.653
O56 O 0.630 0.001 0.139
O57 O 0.630 0.360 0.250
O58 O 0.635 0.505 0.645
O59 O 0.637 0.351 0.758
O60 O 0.637 0.855 0.758
O61 O 0.764 0.025 0.024
O62 O 0.767 0.525 0.026
O63 O 0.768 0.024 0.536
O64 O 0.772 0.524 0.535
O65 O 0.813 0.063 0.880
O66 O 0.816 0.565 0.389
O67 O 0.818 0.067 0.389
O68 O 0.818 0.562 0.883
O69 O 0.820 0.318 0.896
O70 O 0.820 0.821 0.398
O71 O 0.822 0.320 0.399
O72 O 0.824 0.820 0.897
O73 O 0.875 0.638 0.257
O74 O 0.876 0.136 0.251
O75 O 0.880 0.380 0.142
O76 O 0.882 0.881 0.655
O77 O 0.884 0.378 0.655
O78 O 0.884 0.876 0.140
O79 O 0.886 0.156 0.760
O80 O 0.888 0.654 0.759
```



# 2
A plane-wave DFT calculation with PBE with a Hubbard U was carried out for crystalline Li2V3Fe2O12 at its relaxed geometry.

Cell and atoms, written as CIF:
```
data_Li2V3Fe2O12
_chemical_formula_sum 'Li8 V12 Fe8 O48'
_cell_length_a 12.744
_cell_length_b 9.241
_cell_length_c 9.181
_cell_angle_alpha 90.00
_cell_angle_beta 90.00
_cell_angle_gamma 90.00
_symmetry_space_group_name_H-M 'P b c n'
_symmetry_Int_Tables_number 60
_symmetry_space_group_name_Hall '-P 2n 2ab'
loop_
_atom_site_label
_atom_site_type_symbol
_atom_site_fract_x
_atom_site_fract_y
_atom_site_fract_z
Li1 Li 0.189 0.221 0.227
V1 V 0.000 0.465 0.250
V2 V 0.144 0.101 0.894
Fe1 Fe 0.120 0.251 0.532
O1 O 0.018 0.151 0.939
O2 O 0.069 0.429 0.630
O3 O 0.091 0.350 0.339
O4 O 0.161 0.088 0.395
O5 O 0.175 0.167 0.722
O6 O 0.228 0.176 0.024
```



Formation enthalpy at 0 K for the records above, in order: -2.4643 -2.1299 eV per atom